{"formula": "TiNbBi5WO15", "functional": "PBE with a Hubbard U", "state": "optimized geometry", "formation_energy_ev_per_fu": -51.56, "cell": [[21.469, -2.763, 0.000], [21.469, 2.763, 0.000], [-0.673, 0.000, 5.437]], "species": ["Ti", "Ti", "Nb", "Nb", "Bi", "Bi", "Bi", "Bi", "Bi", "Bi", "Bi", "Bi", "Bi", "Bi", "W", "W", "O", "O", "O", "O", "O", "O", "O", "O", "O", "O", "O", "O", "O", "O", "O", "O", "O", "O", "O", "O", "O", "O", "O", "O", "O", "O", "O", "O", "O", "O"], "fractional_positions": [[0.198, 0.198, 0.200], [0.802, 0.802, 0.800], [0.299, 0.306, 0.296], [0.694, 0.701, 0.704], [0.129, 0.010, 0.042], [0.185, 0.076, 0.596], [0.296, 0.203, 0.753], [0.428, 0.312, 0.851], [0.487, 0.373, 0.407], [0.627, 0.513, 0.593], [0.688, 0.572, 0.149], [0.797, 0.704, 0.247], [0.924, 0.815, 0.404], [0.990, 0.871, 0.958], [0.010, 0.990, 0.500], [0.510, 0.490, 0.000], [0.003, 0.083, 0.625], [0.042, 0.535, 0.572], [0.139, 0.174, 0.230], [0.184, 0.616, 0.162], [0.186, 0.615, 0.663], [0.201, 0.300, 0.168], [0.227, 0.756, 0.739], [0.244, 0.773, 0.261], [0.327, 0.363, 0.413], [0.370, 0.027, 0.899], [0.384, 0.816, 0.838], [0.385, 0.814, 0.337], [0.416, 0.498, 0.042], [0.465, 0.958, 0.428], [0.479, 0.125, 0.995], [0.502, 0.584, 0.958], [0.546, 0.031, 0.502], [0.637, 0.673, 0.587], [0.682, 0.117, 0.143], [0.686, 0.115, 0.645], [0.700, 0.799, 0.832], [0.727, 0.256, 0.745], [0.744, 0.273, 0.255], [0.826, 0.861, 0.770], [0.875, 0.521, 0.005], [0.883, 0.318, 0.857], [0.885, 0.314, 0.355], [0.917, 0.997, 0.375], [0.969, 0.454, 0.498], [0.973, 0.630, 0.101]]}


{"formula": "NiBiO3", "functional": "PBE with a Hubbard U", "state": "optimized geometry", "formation_energy_ev_per_fu": -6.60, "cell": [[5.734, 0.000, 0.000], [0.000, 7.744, 0.000], [0.000, 0.000, 5.376]], "species": ["Ni", "Ni", "Ni", "Ni", "Bi", "Bi", "Bi", "Bi", "O", "O", "O", "O", "O", "O", "O", "O", "O", "O", "O", "O"], "fractional_positions": [[0.000, 0.000, 0.000], [0.000, 0.500, 0.000], [0.500, 0.000, 0.500], [0.500, 0.500, 0.500], [0.065, 0.250, 0.481], [0.435, 0.750, 0.981], [0.565, 0.250, 0.019], [0.935, 0.750, 0.519], [0.057, 0.750, 0.130], [0.186, 0.560, 0.682], [0.186, 0.940, 0.682], [0.314, 0.060, 0.182], [0.314, 0.440, 0.182], [0.443, 0.250, 0.630], [0.557, 0.750, 0.370], [0.686, 0.560, 0.818], [0.686, 0.940, 0.818], [0.814, 0.060, 0.318], [0.814, 0.440, 0.318], [0.943, 0.250, 0.870]]}


{"formula": "NiBiO3", "functional": "PBE with a Hubbard U", "state": "optimized geometry", "formation_energy_ev_per_fu": -6.72, "cell": [[5.458, 0.000, 0.000], [-0.189, 5.722, 0.000], [-0.050, -0.307, 7.839]], "species": ["Ni", "Ni", "Ni", "Ni", "Bi", "Bi", "Bi", "Bi", "O", "O", "O", "O", "O", "O", "O", "O", "O", "O", "O", "O"], "fractional_positions": [[0.000, 0.000, 0.000], [0.000, 0.000, 0.500], [0.500, 0.500, 0.000], [0.500, 0.500, 0.500], [0.010, 0.439, 0.221], [0.489, 0.941, 0.271], [0.511, 0.059, 0.729], [0.990, 0.561, 0.779], [0.108, 0.924, 0.742], [0.173, 0.687, 0.043], [0.186, 0.667, 0.412], [0.287, 0.226, 0.087], [0.333, 0.171, 0.470], [0.358, 0.461, 0.751], [0.642, 0.539, 0.249], [0.667, 0.829, 0.530], [0.713, 0.774, 0.913], [0.814, 0.333, 0.588], [0.827, 0.313, 0.957], [0.892, 0.076, 0.258]]}


{"formula": "NiBiO3", "functional": "PBE with a Hubbard U", "state": "optimized geometry", "formation_energy_ev_per_fu": -6.67, "cell": [[5.368, 0.000, 0.000], [0.000, 7.849, 0.000], [-0.034, 0.000, 5.682]], "species": ["Ni", "Ni", "Ni", "Ni", "Bi", "Bi", "Bi", "Bi", "O", "O", "O", "O", "O", "O", "O", "O", "O", "O", "O", "O"], "fractional_positions": [[0.000, 0.000, 0.000], [0.000, 0.500, 0.000], [0.500, 0.000, 0.500], [0.500, 0.500, 0.500], [0.020, 0.250, 0.442], [0.469, 0.250, 0.931], [0.531, 0.750, 0.069], [0.980, 0.750, 0.558], [0.150, 0.750, 0.962], [0.201, 0.072, 0.707], [0.201, 0.428, 0.707], [0.320, 0.064, 0.182], [0.320, 0.436, 0.182], [0.383, 0.750, 0.429], [0.617, 0.250, 0.571], [0.680, 0.564, 0.818], [0.680, 0.936, 0.818], [0.799, 0.572, 0.293], [0.799, 0.928, 0.293], [0.850, 0.250, 0.038]]}


Please write out number 3 again, unchanged.
{"formula": "NiBiO3", "functional": "PBE with a Hubbard U", "state": "optimized geometry", "formation_energy_ev_per_fu": -6.72, "cell": [[5.458, 0.000, 0.000], [-0.189, 5.722, 0.000], [-0.050, -0.307, 7.839]], "species": ["Ni", "Ni", "Ni", "Ni", "Bi", "Bi", "Bi", "Bi", "O", "O", "O", "O", "O", "O", "O", "O", "O", "O", "O", "O"], "fractional_positions": [[0.000, 0.000, 0.000], [0.000, 0.000, 0.500], [0.500, 0.500, 0.000], [0.500, 0.500, 0.500], [0.010, 0.439, 0.221], [0.489, 0.941, 0.271], [0.511, 0.059, 0.729], [0.990, 0.561, 0.779], [0.108, 0.924, 0.742], [0.173, 0.687, 0.043], [0.186, 0.667, 0.412], [0.287, 0.226, 0.087], [0.333, 0.171, 0.470], [0.358, 0.461, 0.751], [0.642, 0.539, 0.249], [0.667, 0.829, 0.530], [0.713, 0.774, 0.913], [0.814, 0.333, 0.588], [0.827, 0.313, 0.957], [0.892, 0.076, 0.258]]}


Number 1 is which compound?
TiNbBi5WO15